Ba4LaPrCu6O14 GGA-PBE relaxed; spin magnetization = 0.0 μB/f.u.; ρ = 6.43 g/cm3; formation enthalpy at 0 K = -2.157 eV/atom
1.0
-2.997 -2.204 1.189
2.091 -1.120 3.194
-8.766 18.511 12.228
O Cu Ba La Pr
14 6 4 1 1
Direct
0.000 0.500 0.250 O
0.000 0.500 0.566 O
0.000 0.500 0.434 O
0.000 0.000 0.671 O
0.500 0.000 0.565 O
0.000 0.500 0.935 O
0.000 0.000 0.171 O
0.500 0.000 0.435 O
0.000 0.500 0.750 O
0.000 0.000 0.829 O
0.500 0.000 0.065 O
0.000 0.500 0.065 O
0.000 0.000 0.329 O
0.500 0.000 0.935 O
0.000 0.000 0.750 Cu
0.000 0.000 0.578 Cu
0.000 0.000 0.077 Cu
0.000 0.000 0.923 Cu
0.000 0.000 0.422 Cu
0.000 0.000 0.250 Cu
0.500 0.500 0.840 Ba
0.500 0.500 0.339 Ba
0.500 0.500 0.661 Ba
0.500 0.500 0.160 Ba
0.500 0.500 0.500 La
0.500 0.500 0.000 Pr